Entry 1:
## PrCr2O6 (PBE with a Hubbard U)

Data for PrCr2O6 after structural relaxation.

Cell lengths 5.362, 5.353, 9.243 Å; angles 54.75, 90.00, 90.00 degrees
Element x y z (fractional)
O 0.481 0.207 0.028
O 0.976 0.810 0.470
O 0.244 0.711 0.743
O 0.024 0.810 0.970
O 0.026 0.248 0.529
O 0.522 0.765 0.973
O 0.745 0.304 0.754
O 0.756 0.711 0.243
O 0.255 0.304 0.254
O 0.519 0.207 0.528
O 0.974 0.248 0.029
O 0.478 0.765 0.473
Pr 0.718 0.238 0.250
Pr 0.282 0.238 0.750
Cr 0.761 0.476 0.504
Cr 0.244 0.979 0.499
Cr 0.239 0.476 0.004
Cr 0.756 0.979 0.999

Calculated total energy   -7.3477 eV per atom
Space group   No. 7

Entry 2:
## PrCr2O2 (PBE with a Hubbard U)

Data for PrCr2O2 after structural relaxation.

Cell lengths 11.704, 11.704, 11.704 Å; angles 91.77, 91.77, 159.77 degrees
Element x y z (fractional)
O 0.413 0.019 0.394
O 0.625 0.019 0.606
O 0.337 0.231 0.106
O 0.769 0.663 0.894
O 0.981 0.587 0.606
O 0.981 0.375 0.394
O 0.769 0.875 0.106
O 0.125 0.231 0.894
Pr 0.375 0.125 0.250
Pr 0.875 0.625 0.750
Pr 0.875 0.125 0.750
Pr 0.875 0.125 0.250
Cr 0.478 0.879 0.401
Cr 0.923 0.522 0.401
Cr 0.478 0.077 0.599
Cr 0.272 0.173 0.901
Cr 0.629 0.728 0.901
Cr 0.827 0.728 0.099
Cr 0.121 0.522 0.599
Cr 0.272 0.371 0.099

Calculated total energy   -6.8736 eV per atom
Space group   No. 141

Entry 3:
## SrPrCrSnO6 (PBE with a Hubbard U)

Data for SrPrCrSnO6 after structural relaxation.

Cell lengths 5.676, 5.676, 5.676 Å; angles 60.00, 60.00, 60.00 degrees
Element x y z (fractional)
O 0.753 0.247 0.247
O 0.247 0.247 0.753
O 0.753 0.753 0.247
O 0.247 0.753 0.753
O 0.753 0.247 0.753
O 0.247 0.753 0.247
Sr 0.250 0.250 0.250
Sn 0.500 0.500 0.500
Pr 0.750 0.750 0.750
Cr 0.000 0.000 0.000

Calculated total energy   -7.1234 eV per atom
Space group   No. 216

Entry 4:
## PrZnCr2O6 (PBE with a Hubbard U)

Data for PrZnCr2O6 after structural relaxation.

Cell lengths 5.307, 5.405, 7.756 Å; angles 90.00, 90.00, 90.00 degrees
Element x y z (fractional)
O 0.219 0.962 0.198
O 0.307 0.441 0.192
O 0.082 0.193 0.500
O 0.582 0.807 0.000
O 0.219 0.962 0.802
O 0.307 0.441 0.808
O 0.719 0.038 0.302
O 0.875 0.272 0.000
O 0.375 0.728 0.500
O 0.719 0.038 0.698
O 0.807 0.559 0.692
O 0.807 0.559 0.308
Cr 0.496 0.757 0.249
Cr 0.996 0.243 0.251
Cr 0.996 0.243 0.749
Cr 0.496 0.757 0.751
Zn 0.991 0.780 0.500
Zn 0.491 0.220 0.000
Pr 0.508 0.299 0.500
Pr 0.008 0.701 0.000

Calculated total energy   -7.1151 eV per atom
Space group   No. 31

Entry 5:
## PuCrO3 (PBE with a Hubbard U)

Data for PuCrO3 after structural relaxation.

Cell lengths 5.473, 5.615, 7.817 Å; angles 90.00, 90.00, 90.00 degrees
Element x y z (fractional)
O 0.196 0.697 0.453
O 0.905 0.033 0.250
O 0.095 0.967 0.750
O 0.804 0.303 0.953
O 0.595 0.533 0.250
O 0.696 0.803 0.953
O 0.304 0.197 0.453
O 0.804 0.303 0.547
O 0.696 0.803 0.547
O 0.196 0.697 0.047
O 0.304 0.197 0.047
O 0.405 0.467 0.750
Pu 0.509 0.047 0.750
Pu 0.491 0.953 0.250
Pu 0.991 0.547 0.750
Pu 0.009 0.453 0.250
Cr 0.500 0.500 0.000
Cr 0.000 0.000 0.000
Cr 0.000 0.000 0.500
Cr 0.500 0.500 0.500

Calculated total energy   -9.8377 eV per atom
Space group   No. 62

Entry 6:
## Rb2Cr2O5 (PBE with a Hubbard U)

Data for Rb2Cr2O5 after structural relaxation.

Cell lengths 10.833, 10.833, 10.833 Å; angles 150.78, 149.94, 42.41 degrees
Element x y z (fractional)
O 0.748 0.249 0.000
O 0.596 0.395 0.492
O 0.404 0.895 0.799
O 0.252 0.252 0.500
O 0.252 0.752 0.000
O 0.733 0.699 0.077
O 0.878 0.845 0.077
O 0.267 0.345 0.966
O 0.748 0.749 0.500
O 0.122 0.199 0.966
Rb 0.610 0.113 0.503
Rb 0.390 0.893 0.503
Rb 0.110 0.613 0.503
Rb 0.890 0.393 0.503
Cr 0.677 0.718 0.896
Cr 0.323 0.218 0.041
Cr 0.000 0.000 0.000
Cr 0.500 0.500 0.000

Calculated total energy   -6.1247 eV per atom
Space group   No. 46

Entry 7:
## Rb2Cr4O13 (PBE with a Hubbard U)

Data for Rb2Cr4O13 after structural relaxation.

Cell lengths 7.796, 9.612, 17.856 Å; angles 88.05, 90.00, 90.00 degrees
Element x y z (fractional)
O 0.677 0.079 0.822
O 0.648 0.089 0.326
O 0.443 0.536 0.241
O 0.310 0.922 0.489
O 0.943 0.964 0.759
O 0.096 0.094 0.910
O 0.323 0.921 0.178
O 0.992 0.127 0.577
O 0.961 0.181 0.081
O 0.596 0.406 0.090
O 0.425 0.248 0.238
O 0.649 0.373 0.587
O 0.075 0.748 0.238
O 0.539 0.681 0.081
O 0.683 0.082 0.172
O 0.701 0.088 0.670
O 0.851 0.873 0.587
O 0.404 0.594 0.910
O 0.299 0.912 0.330
O 0.352 0.911 0.674
O 0.925 0.252 0.762
O 0.201 0.412 0.330
O 0.852 0.589 0.326
O 0.314 0.925 0.984
O 0.508 0.627 0.577
O 0.351 0.627 0.413
O 0.814 0.575 0.016
O 0.729 0.807 0.255
O 0.149 0.127 0.413
O 0.177 0.421 0.178
O 0.575 0.752 0.762
O 0.690 0.078 0.511
O 0.771 0.307 0.255
O 0.008 0.873 0.423
O 0.317 0.918 0.828
O 0.186 0.425 0.984
O 0.686 0.075 0.016
O 0.148 0.411 0.674
O 0.183 0.418 0.828
O 0.557 0.464 0.759
O 0.039 0.819 0.919
O 0.817 0.582 0.172
O 0.461 0.319 0.919
O 0.190 0.422 0.489
O 0.904 0.906 0.090
O 0.057 0.036 0.241
O 0.810 0.578 0.511
O 0.492 0.373 0.423
O 0.799 0.588 0.670
O 0.271 0.193 0.745
O 0.823 0.579 0.822
O 0.229 0.693 0.745
Cr 0.815 0.060 0.088
Cr 0.311 0.408 0.246
Cr 0.185 0.940 0.912
Cr 0.862 0.681 0.249
Cr 0.689 0.592 0.754
Cr 0.189 0.908 0.246
Cr 0.315 0.440 0.912
Cr 0.686 0.540 0.583
Cr 0.685 0.560 0.088
Cr 0.814 0.040 0.583
Cr 0.811 0.092 0.754
Cr 0.314 0.460 0.417
Cr 0.362 0.819 0.751
Cr 0.186 0.960 0.417
Cr 0.638 0.181 0.249
Cr 0.138 0.319 0.751
Rb 0.335 0.178 0.069
Rb 0.165 0.678 0.069
Rb 0.835 0.322 0.931
Rb 0.359 0.184 0.575
Rb 0.141 0.684 0.575
Rb 0.641 0.816 0.425
Rb 0.859 0.316 0.425
Rb 0.665 0.822 0.931

Calculated total energy   -6.3882 eV per atom
Space group   No. 14

Entry 8:
## RbCrO3 (PBE with a Hubbard U)

Data for RbCrO3 after structural relaxation.

Cell lengths 3.947, 3.947, 3.947 Å; angles 90.00, 90.00, 90.00 degrees
Element x y z (fractional)
O 0.000 0.500 0.000
O 0.500 0.000 0.000
O 0.000 0.000 0.500
Cr 0.000 0.000 0.000
Rb 0.500 0.500 0.500

Calculated total energy   -5.8412 eV per atom
Space group   No. 221

Entry 9:
## RbCrO2 (PBE with a Hubbard U)

Data for RbCrO2 after structural relaxation.

Cell lengths 3.177, 12.702, 3.177 Å; angles 82.82, 60.00, 82.82 degrees
Element x y z (fractional)
O 0.890 0.331 0.890
O 0.610 0.169 0.610
O 0.110 0.669 0.110
O 0.390 0.831 0.390
Cr 0.750 0.750 0.750
Cr 0.250 0.250 0.250
Rb 0.000 0.000 0.000
Rb 0.500 0.500 0.500

Calculated total energy   -6.2892 eV per atom

Entry 10:
## Rb2CrO4 (PBE with a Hubbard U)

Data for Rb2CrO4 after structural relaxation.

Cell lengths 6.205, 8.143, 10.977 Å; angles 90.00, 90.00, 90.00 degrees
Element x y z (fractional)
O 0.250 0.473 0.917
O 0.750 0.027 0.417
O 0.030 0.697 0.648
O 0.470 0.197 0.852
O 0.530 0.303 0.352
O 0.750 0.527 0.083
O 0.530 0.803 0.148
O 0.750 0.796 0.934
O 0.750 0.296 0.566
O 0.250 0.704 0.434
O 0.030 0.197 0.852
O 0.970 0.303 0.352
O 0.250 0.973 0.583
O 0.250 0.204 0.066
O 0.470 0.697 0.648
O 0.970 0.803 0.148
Rb 0.750 0.170 0.085
Rb 0.750 0.988 0.698
Rb 0.250 0.012 0.302
Rb 0.250 0.512 0.198
Rb 0.250 0.330 0.585
Rb 0.250 0.830 0.915
Rb 0.750 0.488 0.802
Rb 0.750 0.670 0.415
Cr 0.250 0.269 0.921
Cr 0.750 0.231 0.421
Cr 0.750 0.731 0.079
Cr 0.250 0.769 0.579

Calculated total energy   -5.8693 eV per atom
Space group   No. 62

Entry 11:
## RbCrS2O20 (PBE with a Hubbard U)

Data for RbCrS2O20 after structural relaxation.

Cell lengths 11.714, 11.714, 11.714 Å; angles 90.00, 90.00, 90.00 degrees
Element x y z (fractional)
O 0.575 0.687 0.738
O 0.813 0.262 0.075
O 0.238 0.925 0.313
O 0.824 0.020 0.976
O 0.902 0.759 0.978
O 0.762 0.075 0.687
O 0.313 0.238 0.925
O 0.676 0.980 0.476
O 0.024 0.324 0.480
O 0.098 0.259 0.522
O 0.768 0.768 0.768
O 0.268 0.732 0.232
O 0.902 0.741 0.478
O 0.741 0.478 0.902
O 0.738 0.575 0.687
O 0.925 0.187 0.738
O 0.187 0.762 0.425
O 0.324 0.020 0.524
O 0.478 0.598 0.241
O 0.075 0.687 0.762
O 0.978 0.598 0.259
O 0.741 0.022 0.402
O 0.522 0.098 0.259
O 0.762 0.425 0.187
O 0.522 0.402 0.759
O 0.813 0.238 0.575
O 0.598 0.241 0.478
O 0.978 0.902 0.759
O 0.520 0.524 0.176
O 0.676 0.520 0.976
O 0.425 0.187 0.762
O 0.976 0.824 0.020
O 0.925 0.313 0.238
O 0.098 0.241 0.022
O 0.575 0.813 0.238
O 0.738 0.925 0.187
O 0.241 0.022 0.098
O 0.759 0.522 0.402
O 0.524 0.324 0.020
O 0.480 0.476 0.824
O 0.176 0.980 0.024
O 0.759 0.978 0.902
O 0.232 0.268 0.732
O 0.824 0.480 0.476
O 0.022 0.098 0.241
O 0.476 0.676 0.980
O 0.425 0.313 0.262
O 0.024 0.176 0.980
O 0.980 0.024 0.176
O 0.732 0.268 0.768
O 0.687 0.762 0.075
O 0.232 0.232 0.232
O 0.313 0.262 0.425
O 0.262 0.425 0.313
O 0.402 0.741 0.022
O 0.476 0.824 0.480
O 0.241 0.478 0.598
O 0.022 0.402 0.741
O 0.478 0.902 0.741
O 0.768 0.732 0.268
O 0.238 0.575 0.813
O 0.402 0.759 0.522
O 0.020 0.976 0.824
O 0.480 0.024 0.324
O 0.262 0.075 0.813
O 0.187 0.738 0.925
O 0.980 0.476 0.676
O 0.687 0.738 0.575
O 0.520 0.976 0.676
O 0.976 0.676 0.520
O 0.075 0.813 0.262
O 0.324 0.480 0.024
O 0.259 0.522 0.098
O 0.598 0.259 0.978
O 0.259 0.978 0.598
O 0.524 0.176 0.520
O 0.020 0.524 0.324
O 0.176 0.520 0.524
O 0.268 0.768 0.732
O 0.732 0.232 0.268
S 0.804 0.304 0.196
S 0.804 0.196 0.696
S 0.196 0.696 0.804
S 0.696 0.804 0.196
S 0.696 0.696 0.696
S 0.304 0.304 0.304
S 0.304 0.196 0.804
S 0.196 0.804 0.304
Rb 0.500 0.000 0.000
Rb 0.000 0.000 0.500
Rb 0.500 0.500 0.500
Rb 0.000 0.500 0.000
Cr 0.000 0.500 0.500
Cr 0.500 0.500 0.000
Cr 0.500 0.000 0.500
Cr 0.000 0.000 0.000

Calculated total energy   -5.3530 eV per atom
Space group   No. 205

Entry 12:
## RbUCrO6 (PBE with a Hubbard U)

Data for RbUCrO6 after structural relaxation.

Cell lengths 8.418, 7.221, 10.601 Å; angles 75.13, 90.00, 90.00 degrees
Element x y z (fractional)
O 0.343 0.529 0.507
O 0.290 0.572 0.787
O 0.157 0.529 0.007
O 0.657 0.471 0.493
O 0.131 0.837 0.432
O 0.981 0.748 0.765
O 0.210 0.572 0.287
O 0.790 0.428 0.713
O 0.481 0.252 0.735
O 0.019 0.252 0.235
O 0.441 0.230 0.376
O 0.519 0.748 0.265
O 0.939 0.535 0.395
O 0.941 0.770 0.124
O 0.561 0.535 0.895
O 0.061 0.465 0.605
O 0.710 0.428 0.213
O 0.439 0.465 0.105
O 0.843 0.471 0.993
O 0.369 0.837 0.932
O 0.631 0.163 0.068
O 0.559 0.770 0.624
O 0.869 0.163 0.568
O 0.059 0.230 0.876
U 0.020 0.489 0.823
U 0.980 0.511 0.177
U 0.520 0.511 0.677
U 0.480 0.489 0.323
Cr 0.857 0.390 0.556
Cr 0.143 0.610 0.444
Cr 0.357 0.610 0.944
Cr 0.643 0.390 0.056
Rb 0.741 0.967 0.862
Rb 0.241 0.033 0.638
Rb 0.259 0.033 0.138
Rb 0.759 0.967 0.362

Calculated total energy   -7.8277 eV per atom
Space group   No. 14

> Which of these has the highest calculated total energy?

RbCrS2O20

> calculated total energy of number 4 (PrZnCr2O6)?

-7.1151 eV per atom

> calculated total energy of number 2 (PrCr2O2)?

-6.8736 eV per atom